## Mn3CuTe8O20 (GGA+U)

Data for Mn3CuTe8O20 after structural relaxation.

Results
DFT total energy, Ry/atom: -0.4317
Magnetization, μB per formula unit: 16.0

Cell: 8.939 8.939 13.035 Å, 90.00 90.00 90.00°
Atoms (fractional coordinates):
O1 0.921 0.352 0.118
O2 0.579 0.852 0.118
O3 0.297 0.203 0.500
O4 0.576 0.134 0.388
O5 0.734 0.871 0.299
O6 0.775 0.623 0.204
O7 0.703 0.797 0.500
O8 0.076 0.366 0.388
O9 0.123 0.275 0.796
O10 0.079 0.648 0.118
O11 0.366 0.924 0.612
O12 0.377 0.775 0.796
O13 0.196 0.304 0.000
O14 0.797 0.297 0.500
O15 0.629 0.766 0.701
O16 0.225 0.377 0.204
O17 0.266 0.129 0.299
O18 0.623 0.225 0.796
O19 0.304 0.804 0.000
O20 0.129 0.734 0.701
O21 0.275 0.877 0.204
O22 0.696 0.196 0.000
O23 0.725 0.123 0.204
O24 0.924 0.634 0.388
O25 0.852 0.421 0.882
O26 0.424 0.866 0.388
O27 0.134 0.424 0.612
O28 0.866 0.576 0.612
O29 0.804 0.696 0.000
O30 0.871 0.266 0.701
O31 0.234 0.629 0.299
O32 0.352 0.079 0.882
O33 0.877 0.725 0.796
O34 0.371 0.234 0.701
O35 0.203 0.703 0.500
O36 0.648 0.921 0.882
O37 0.421 0.148 0.118
O38 0.634 0.076 0.612
O39 0.148 0.579 0.882
O40 0.766 0.371 0.299
Mn1 0.500 0.000 0.000
Mn2 0.500 0.000 0.251
Mn3 0.500 0.000 0.749
Mn4 0.000 0.500 0.749
Mn5 0.000 0.500 0.251
Mn6 0.000 0.500 0.000
Te1 0.716 0.681 0.369
Te2 0.186 0.787 0.865
Te3 0.284 0.319 0.369
Te4 0.314 0.287 0.865
Te5 0.819 0.784 0.631
Te6 0.213 0.186 0.135
Te7 0.216 0.819 0.369
Te8 0.787 0.814 0.135
Te9 0.681 0.284 0.631
Te10 0.319 0.716 0.631
Te11 0.287 0.686 0.135
Te12 0.713 0.314 0.135
Te13 0.686 0.713 0.865
Te14 0.784 0.181 0.369
Te15 0.181 0.216 0.631
Te16 0.814 0.213 0.865
Cu1 0.500 0.000 0.500
Cu2 0.000 0.500 0.500

## MgSc2Mn4O10 (GGA+U)

Data for MgSc2Mn4O10 after structural relaxation.

Results
DFT total energy, Ry/atom: -0.5638
Magnetization, μB per formula unit: 16.0
Polymorph energy (0 for the lowest one), meV/atom: 4

Cell: 5.531 5.530 10.058 Å, 90.96 90.95 41.88°
Atoms (fractional coordinates):
O1 0.953 0.953 0.614
O2 0.301 0.302 0.052
O3 0.654 0.654 0.901
O4 0.300 0.300 0.455
O5 0.967 0.966 0.862
O6 0.646 0.646 0.601
O7 0.062 0.062 0.114
O8 0.785 0.785 0.262
O9 0.257 0.256 0.746
O10 0.056 0.056 0.383
Sc1 0.205 0.205 0.251
Sc2 0.794 0.794 0.750
Mn1 0.872 0.873 0.437
Mn2 0.140 0.139 0.554
Mn3 0.144 0.144 0.946
Mn4 0.873 0.873 0.067
Mg1 0.505 0.504 0.754

## Ca2NiBiO6 (GGA+U)

Data for Ca2NiBiO6 after structural relaxation.

Results
DFT total energy, Ry/atom: -0.4059
Magnetization, μB per formula unit: 1.0

Cell: 5.681 5.681 5.681 Å, 60.00 60.00 60.00°
Atoms (fractional coordinates):
O1 0.742 0.258 0.742
O2 0.742 0.258 0.258
O3 0.258 0.742 0.258
O4 0.258 0.258 0.742
O5 0.742 0.742 0.258
O6 0.258 0.742 0.742
Ni1 0.500 0.500 0.500
Bi1 0.000 0.000 0.000
Ca1 0.750 0.750 0.750
Ca2 0.250 0.250 0.250

## MgFe2Ni2O6 (GGA+U)

Data for MgFe2Ni2O6 after structural relaxation.

Results
DFT total energy, Ry/atom: -0.4274
Magnetization, μB per formula unit: 14.0
Polymorph energy (0 for the lowest one), meV/atom: 10

Cell: 5.778 5.778 5.778 Å, 52.78 52.78 52.78°
Atoms (fractional coordinates):
Ni1 0.329 0.329 0.329
Ni2 0.671 0.671 0.671
O1 0.258 0.555 0.920
O2 0.080 0.742 0.445
O3 0.920 0.258 0.555
O4 0.555 0.920 0.258
O5 0.742 0.445 0.080
O6 0.445 0.080 0.742
Mg1 0.500 0.500 0.500
Fe1 0.858 0.858 0.858
Fe2 0.142 0.142 0.142

## Na2Ti3CrP6O24 (GGA+U)

Data for Na2Ti3CrP6O24 after structural relaxation.

Results
DFT total energy, Ry/atom: -0.5555
Magnetization, μB per formula unit: 2.0

Cell: 8.912 8.912 8.912 Å, 57.10 57.10 57.10°
Atoms (fractional coordinates):
O1 0.736 0.909 0.095
O2 0.904 0.266 0.093
O3 0.746 0.488 0.851
O4 0.000 0.198 0.377
O5 0.851 0.746 0.488
O6 0.200 0.555 0.467
O7 0.440 0.536 0.799
O8 0.252 0.511 0.149
O9 0.555 0.467 0.200
O10 0.798 0.620 0.008
O11 0.909 0.095 0.736
O12 0.149 0.252 0.511
O13 0.536 0.799 0.440
O14 0.093 0.904 0.266
O15 0.488 0.851 0.746
O16 0.467 0.200 0.555
O17 0.095 0.736 0.909
O18 0.198 0.377 0.000
O19 0.377 0.000 0.198
O20 0.799 0.440 0.536
O21 0.511 0.149 0.252
O22 0.266 0.093 0.904
O23 0.008 0.798 0.620
O24 0.620 0.008 0.798
Cr1 0.856 0.856 0.856
Na1 0.999 0.999 0.999
Na2 0.500 0.500 0.500
Ti1 0.144 0.144 0.144
Ti2 0.647 0.647 0.647
Ti3 0.353 0.353 0.353
P1 0.463 0.035 0.751
P2 0.246 0.538 0.965
P3 0.538 0.965 0.246
P4 0.965 0.246 0.538
P5 0.751 0.463 0.035
P6 0.035 0.751 0.463

## Li9Mn2Co5O16 (GGA+U)

Data for Li9Mn2Co5O16 after structural relaxation.

Results
DFT total energy, Ry/atom: -0.4285
Magnetization, μB per formula unit: 6.0
Polymorph energy (0 for the lowest one), meV/atom: 25

Cell: 4.973 6.683 8.829 Å, 98.87 95.31 98.56°
Atoms (fractional coordinates):
O1 0.389 0.906 0.329
O2 0.359 0.646 0.588
O3 0.644 0.851 0.923
O4 0.375 0.133 0.080
O5 0.636 0.354 0.413
O6 0.637 0.108 0.676
O7 0.141 0.976 0.798
O8 0.137 0.747 0.032
O9 0.857 0.769 0.465
O10 0.865 0.026 0.198
O11 0.143 0.473 0.289
O12 0.854 0.522 0.715
O13 0.606 0.617 0.152
O14 0.132 0.228 0.547
O15 0.876 0.252 0.957
O16 0.354 0.391 0.838
Li1 0.245 0.682 0.807
Li2 0.245 0.445 0.068
Li3 0.748 0.566 0.940
Li4 0.998 0.749 0.254
Li5 0.252 0.189 0.319
Li6 0.744 0.807 0.680
Li7 0.762 0.319 0.197
Li8 0.756 0.057 0.436
Li9 0.239 0.931 0.552
Co1 0.498 0.632 0.370
Co2 0.501 0.123 0.875
Co3 0.502 0.380 0.627
Co4 0.996 0.506 0.495
Co5 0.003 0.249 0.751
Mn1 0.004 0.993 0.001
Mn2 0.502 0.871 0.128

## Cs2NaCoF6 (GGA+U)

Data for Cs2NaCoF6 after structural relaxation.

Results
DFT total energy, Ry/atom: -0.3265
Magnetization, μB per formula unit: 0.0

Cell: 10.803 10.803 10.803 Å, 33.79 33.79 33.79°
Atoms (fractional coordinates):
F1 0.398 0.398 0.815
F2 0.822 0.822 0.251
F3 0.178 0.178 0.749
F4 0.185 0.602 0.602
F5 0.178 0.749 0.178
F6 0.251 0.822 0.822
F7 0.749 0.178 0.178
F8 0.602 0.602 0.185
F9 0.602 0.185 0.602
F10 0.822 0.251 0.822
F11 0.815 0.398 0.398
F12 0.398 0.815 0.398
Na1 0.596 0.596 0.596
Na2 0.404 0.404 0.404
Cs1 0.128 0.128 0.128
Cs2 0.872 0.872 0.872
Cs3 0.284 0.284 0.284
Cs4 0.716 0.716 0.716
Co1 0.000 0.000 0.000
Co2 0.500 0.500 0.500

## Li3Mn2P3O12 (GGA+U)

Data for Li3Mn2P3O12 after structural relaxation.

Results
DFT total energy, Ry/atom: -0.5103
Magnetization, μB per formula unit: 8.0
Polymorph energy (0 for the lowest one), meV/atom: 26

Cell: 4.853 4.853 19.121 Å, 89.72 89.72 68.60°
Atoms (fractional coordinates):
Li1 0.000 0.000 0.834
Li2 0.000 0.000 0.166
Li3 0.676 0.676 0.913
Li4 0.325 0.325 0.755
Li5 0.324 0.324 0.087
Li6 0.675 0.675 0.245
O1 0.232 0.232 0.316
O2 0.763 0.763 0.015
O3 0.239 0.695 0.255
O4 0.750 0.750 0.817
O5 0.304 0.761 0.078
O6 0.753 0.753 0.148
O7 0.307 0.775 0.417
O8 0.225 0.693 0.583
O9 0.775 0.307 0.417
O10 0.761 0.305 0.745
O11 0.250 0.250 0.183
O12 0.693 0.225 0.583
O13 0.240 0.240 0.653
O14 0.768 0.768 0.684
O15 0.761 0.304 0.078
O16 0.237 0.237 0.985
O17 0.239 0.696 0.922
O18 0.696 0.239 0.922
O19 0.247 0.247 0.852
O20 0.695 0.239 0.255
O21 0.305 0.761 0.745
O22 0.760 0.760 0.347
O23 0.233 0.233 0.519
O24 0.767 0.767 0.481
Mn1 0.000 0.000 0.000
Mn2 0.001 0.001 0.332
Mn3 0.999 0.999 0.668
Mn4 0.000 0.000 0.500
P1 0.348 0.348 0.250
P2 0.350 0.350 0.918
P3 0.652 0.652 0.750
P4 0.650 0.650 0.082
P5 0.654 0.654 0.416
P6 0.346 0.346 0.584